1.
NbFeGe | GGA-PBE | optimized geometry

calculated volume = 14.60 A^3/atom
energy of formation = -0.3425 eV per atom

a = 6.5675 Å, b = 7.1082 Å, c = 7.4233 Å
α = 118.61°, β = 116.25°, γ = 90.00°
Fractional coordinates of all 18 atoms:
Fe: 0.5021 0.6629 0.2501
Fe: 0.2519 0.9128 0.7499
Fe: 0.5021 0.0872 0.2501
Fe: 0.7505 0.0000 0.0000
Fe: 0.2519 0.3371 0.7499
Fe: 0.7505 0.5000 0.0000
Ge: 0.8377 0.3283 0.6653
Ge: 0.5239 0.2778 0.0557
Ge: 0.4682 0.7222 0.9443
Ge: 0.1724 0.6717 0.3347
Ge: 0.1724 0.1630 0.3347
Ge: 0.8377 0.8370 0.6653
Nb: 0.8973 0.9444 0.3888
Nb: 0.5063 0.5326 0.5652
Nb: 0.0912 0.7496 0.9991
Nb: 0.0921 0.2504 0.0009
Nb: 0.5085 0.0556 0.6112
Nb: 0.9412 0.4674 0.4348



2.
NaLaTa2O9 | GGA-PBE | optimized geometry

calculated volume = 15.10 A^3/atom
energy of formation = -2.5043 eV per atom

a = 3.9507 Å, b = 3.9315 Å, c = 12.9438 Å
α = 81.26°, β = 81.22°, γ = 90.00°
Fractional coordinates of all 13 atoms:
O: 0.2904 0.7904 0.4192
O: 0.3367 0.3367 0.3266
O: 0.4972 0.4972 0.0057
O: 0.5701 0.0701 0.8598
O: 0.0697 0.5697 0.8606
O: 0.4246 0.9246 0.1508
O: 0.9252 0.4252 0.1496
O: 0.7028 0.2028 0.5943
O: 0.6581 0.6581 0.6839
Ta: 0.4085 0.4085 0.1829
Ta: 0.5865 0.5865 0.8270
Na: 0.2426 0.2426 0.5148
La: 0.9976 0.9976 0.0048



3.
Dy3CuGeSe7 | GGA-PBE | optimized geometry

calculated volume = 23.53 A^3/atom
energy of formation = -1.5351 eV per atom
piezoelectric modulus e_max = 1.757 C/m2

a = 10.3329 Å, b = 10.3329 Å, c = 6.1078 Å
α = 90.00°, β = 90.00°, γ = 120.00°
Fractional coordinates of all 24 atoms:
Se: 0.7374 0.8971 0.9549
Se: 0.1598 0.2626 0.9549
Se: 0.8971 0.1598 0.4549
Se: 0.8402 0.7374 0.4549
Se: 0.5746 0.0925 0.1706
Se: 0.4821 0.5746 0.6706
Se: 0.6667 0.3333 0.7242
Se: 0.3333 0.6667 0.2242
Se: 0.4254 0.9075 0.6706
Se: 0.2626 0.1029 0.4549
Se: 0.1029 0.8402 0.9549
Se: 0.0925 0.5179 0.6706
Se: 0.5179 0.4254 0.1706
Se: 0.9075 0.4821 0.1706
Dy: 0.7799 0.6441 0.9201
Dy: 0.3559 0.1358 0.9201
Dy: 0.8642 0.2201 0.9201
Dy: 0.6441 0.8642 0.4201
Dy: 0.2201 0.3559 0.4201
Dy: 0.1358 0.7799 0.4201
Ge: 0.3333 0.6667 0.8372
Ge: 0.6667 0.3333 0.3372
Cu: 0.0000 0.0000 0.4730
Cu: 0.0000 0.0000 0.9730



4.
Dy18MnFe2Bi6 | GGA-PBE | optimized geometry

calculated volume = 28.24 A^3/atom
energy of formation = -0.3943 eV per atom

a = 4.2103 Å, b = 8.3266 Å, c = 22.1453 Å
α = 79.16°, β = 90.00°, γ = 90.00°
Fractional coordinates of all 27 atoms:
Fe: 0.5000 0.3326 0.3332
Fe: 0.5000 0.6659 0.6668
Bi: 0.0000 0.1116 0.7776
Bi: 0.0000 0.2223 0.5554
Bi: 0.0000 0.7777 0.4446
Bi: 0.0000 0.5554 0.8884
Bi: 0.0000 0.8892 0.2224
Bi: 0.0000 0.4438 0.1116
Dy: 0.5000 0.4659 0.4662
Dy: 0.0000 0.1792 0.4107
Dy: 0.5000 0.7994 0.7996
Dy: 0.5000 0.9357 0.3334
Dy: 0.0000 0.2562 0.2560
Dy: 0.0000 0.8986 0.6666
Dy: 0.5000 0.6026 0.0000
Dy: 0.0000 0.5122 0.7440
Dy: 0.0000 0.9215 0.9218
Dy: 0.0000 0.2341 0.0000
Dy: 0.5000 0.2650 0.8674
Dy: 0.5000 0.2691 0.6666
Dy: 0.5000 0.5990 0.2004
Dy: 0.0000 0.5652 0.3334
Dy: 0.5000 0.9321 0.5338
Dy: 0.5000 0.1324 0.1326
Dy: 0.0000 0.8433 0.0782
Dy: 0.0000 0.5899 0.5893
Mn: 0.5000 0.9999 0.0000



5.
ThUC2 | GGA-PBE | optimized geometry

calculated volume = 16.82 A^3/atom
energy of formation = -0.2561 eV per atom

a = 6.2542 Å, b = 6.2542 Å, c = 6.2542 Å
α = 33.75°, β = 33.75°, γ = 33.75°
Fractional coordinates of all 4 atoms:
Th: 0.5000 0.5000 0.5000
U: 0.0000 0.0000 0.0000
C: 0.2662 0.2662 0.2662
C: 0.7338 0.7338 0.7338



6.
DyGaCo4 | GGA-PBE | optimized geometry

calculated volume = 14.21 A^3/atom
energy of formation = -0.2364 eV per atom

a = 4.9848 Å, b = 4.9848 Å, c = 4.0129 Å
α = 90.00°, β = 90.00°, γ = 121.21°
Fractional coordinates of all 6 atoms:
Co: 0.1840 0.8160 0.0000
Co: 0.0000 0.5000 0.5000
Co: 0.8160 0.1840 0.0000
Co: 0.5000 0.0000 0.5000
Dy: 0.5000 0.5000 0.0000
Ga: 0.0000 0.0000 0.5000



7.
CS | GGA-PBE | optimized geometry

calculated volume = 13.11 A^3/atom
energy of formation = 1.1293 eV per atom

a = 3.5648 Å, b = 3.5648 Å, c = 4.1267 Å
α = 90.00°, β = 90.00°, γ = 90.00°
Fractional coordinates of all 4 atoms:
S: 0.5000 0.0000 0.8405
S: 0.0000 0.5000 0.1595
C: 0.0000 0.0000 0.0000
C: 0.5000 0.5000 0.0000



8.
Pa3O | GGA-PBE | optimized geometry

calculated volume = 19.68 A^3/atom
energy of formation = -0.1959 eV per atom

a = 6.1410 Å, b = 6.1398 Å, c = 4.8212 Å
α = 89.96°, β = 90.03°, γ = 120.02°
Fractional coordinates of all 8 atoms:
O: 0.3333 0.6670 0.7500
O: 0.6667 0.3335 0.2500
Pa: 0.3441 0.1720 0.7501
Pa: 0.8280 0.6560 0.7501
Pa: 0.1723 0.8276 0.2501
Pa: 0.1723 0.3442 0.2499
Pa: 0.8278 0.1722 0.7498
Pa: 0.6556 0.8275 0.2500



9.
HfMg14Mn | GGA-PBE | optimized geometry

calculated volume = 21.80 A^3/atom
energy of formation = 0.0861 eV per atom
ΔE to the lowest computed polymorph = 0.000 eV/atom

a = 6.3388 Å, b = 6.2393 Å, c = 10.1316 Å
α = 90.00°, β = 90.00°, γ = 119.48°
Fractional coordinates of all 16 atoms:
Mg: 0.1669 0.8334 0.6250
Mg: 0.6615 0.3356 0.1250
Mg: 0.3299 0.1661 0.8814
Mg: 0.3299 0.1661 0.3686
Mg: 0.8382 0.6691 0.8751
Mg: 0.8423 0.1711 0.8838
Mg: 0.8382 0.6691 0.3749
Mg: 0.3299 0.6638 0.8814
Mg: 0.8423 0.1711 0.3662
Mg: 0.1662 0.3331 0.6250
Mg: 0.6615 0.8259 0.1250
Mg: 0.3299 0.6638 0.3686
Mg: 0.6658 0.3319 0.6250
Mg: 0.6658 0.8340 0.6250
Hf: 0.1571 0.8286 0.1250
Mn: 0.1745 0.3373 0.1250



10.
Tb2Si3 | GGA-PBE | optimized geometry

calculated volume = 20.18 A^3/atom
energy of formation = -0.6407 eV per atom
ΔE to the lowest computed polymorph = 0.000 eV/atom

a = 3.9557 Å, b = 4.1465 Å, c = 12.4771 Å
α = 99.56°, β = 90.00°, γ = 90.00°
Fractional coordinates of all 10 atoms:
Si: 0.7500 0.8237 0.6475
Si: 0.2500 0.1763 0.3525
Si: 0.2500 0.9755 0.9509
Si: 0.2500 0.8813 0.7626
Si: 0.7500 0.0245 0.0491
Si: 0.7500 0.1187 0.2374
Tb: 0.7500 0.7030 0.4061
Tb: 0.7500 0.4301 0.8602
Tb: 0.2500 0.5699 0.1398
Tb: 0.2500 0.2970 0.5939



11.
Lu2ZnGa | GGA-PBE | optimized geometry

calculated volume = 21.31 A^3/atom
energy of formation = -0.4738 eV per atom

a = 4.9402 Å, b = 4.9402 Å, c = 4.9402 Å
α = 60.00°, β = 60.00°, γ = 60.00°
Fractional coordinates of all 4 atoms:
Ga: 0.5000 0.5000 0.5000
Lu: 0.7500 0.7500 0.7500
Lu: 0.2500 0.2500 0.2500
Zn: 0.0000 0.0000 0.0000



12.
LiSi5O10 | GGA-PBE | optimized geometry

calculated volume = 21.52 A^3/atom
energy of formation = -2.7826 eV per atom
ΔE to the lowest computed polymorph = 0.157 eV/atom

a = 6.9732 Å, b = 7.5749 Å, c = 6.5198 Å
α = 90.00°, β = 90.00°, γ = 90.00°
Fractional coordinates of all 16 atoms:
O: 0.0000 0.5000 0.8801
O: 0.5000 0.0000 0.1188
O: 0.8063 0.0000 0.3578
O: 0.1848 0.8233 0.9968
O: 0.1937 0.0000 0.3578
O: 0.1848 0.1767 0.9968
O: 0.0000 0.1768 0.6523
O: 0.0000 0.8232 0.6523
O: 0.8152 0.8233 0.9968
O: 0.8152 0.1767 0.9968
Li: 0.0000 0.0000 0.8651
Si: 0.0000 0.2834 0.8826
Si: 0.0000 0.0000 0.4982
Si: 0.7307 0.0000 0.1201
Si: 0.2693 0.0000 0.1201
Si: 0.0000 0.7166 0.8826



13.
SbCCl4O2 | GGA-PBE | optimized geometry

calculated volume = 26.90 A^3/atom
energy of formation = -1.0346 eV per atom

a = 7.1247 Å, b = 7.4333 Å, c = 16.6828 Å
α = 80.05°, β = 84.22°, γ = 82.96°
Fractional coordinates of all 32 atoms:
Cl: 0.3105 0.3260 0.0055
Cl: 0.4706 0.8042 0.1706
Cl: 0.0957 0.0738 0.3861
Cl: 0.0911 0.1133 0.7869
Cl: 0.9089 0.8867 0.2131
Cl: 0.1201 0.5454 0.8292
Cl: 0.5294 0.1958 0.8294
Cl: 0.1241 0.5301 0.3893
Cl: 0.9043 0.9262 0.6139
Cl: 0.8799 0.4546 0.1708
Cl: 0.8759 0.4699 0.6107
Cl: 0.3896 0.2854 0.2341
Cl: 0.3957 0.5818 0.6127
Cl: 0.6895 0.6740 0.9945
Cl: 0.6104 0.7146 0.7659
Cl: 0.6043 0.4182 0.3873
O: 0.4666 0.9842 0.6070
O: 0.5334 0.0158 0.3930
O: 0.9356 0.2276 0.9536
O: 0.7658 0.0378 0.0439
O: 0.6678 0.8082 0.4907
O: 0.0644 0.7724 0.0464
O: 0.3322 0.1918 0.5093
O: 0.2342 0.9622 0.9561
Sb: 0.2176 0.2437 0.8863
Sb: 0.3368 0.2706 0.3750
Sb: 0.6632 0.7294 0.6250
Sb: 0.7824 0.7563 0.1137
C: 0.0851 0.9245 0.0007
C: 0.4428 0.0501 0.5331
C: 0.5572 0.9499 0.4669
C: 0.9149 0.0755 0.9993



14.
Mn23B3C3 | GGA-PBE | optimized geometry

calculated volume = 9.87 A^3/atom
energy of formation = -0.1620 eV per atom

a = 7.3880 Å, b = 7.3880 Å, c = 7.3880 Å
α = 60.18°, β = 60.18°, γ = 60.18°
Fractional coordinates of all 29 atoms:
Mn: 0.0013 0.3461 0.0013
Mn: 0.3789 0.3789 0.3789
Mn: 0.8547 0.3830 0.3830
Mn: 0.3425 0.9936 0.6602
Mn: 0.0011 0.6641 0.0011
Mn: 0.3425 0.6602 0.9936
Mn: 0.0070 0.0070 0.0070
Mn: 0.3461 0.0013 0.0013
Mn: 0.6201 0.6201 0.1423
Mn: 0.0011 0.0011 0.6641
Mn: 0.6172 0.6172 0.6172
Mn: 0.6602 0.9936 0.3425
Mn: 0.6201 0.1423 0.6201
Mn: 0.3830 0.8547 0.3830
Mn: 0.6602 0.3425 0.9936
Mn: 0.6641 0.0011 0.0011
Mn: 0.3830 0.3830 0.8547
Mn: 0.2483 0.2483 0.2483
Mn: 0.7484 0.7484 0.7484
Mn: 0.1423 0.6201 0.6201
Mn: 0.0013 0.0013 0.3461
Mn: 0.9936 0.6602 0.3425
Mn: 0.9936 0.3425 0.6602
B: 0.2719 0.7255 0.2719
B: 0.2719 0.2719 0.7255
B: 0.7255 0.2719 0.2719
C: 0.7223 0.7223 0.2756
C: 0.7223 0.2756 0.7223
C: 0.2756 0.7223 0.7223



15.
Mg5Si9 | GGA-PBE | optimized geometry

calculated volume = 18.47 A^3/atom
energy of formation = 0.6828 eV per atom
ΔE to the lowest computed polymorph = 0.532 eV/atom

a = 6.0534 Å, b = 6.8610 Å, c = 13.5682 Å
α = 104.50°, β = 93.15°, γ = 106.83°
Fractional coordinates of all 28 atoms:
Mg: 0.7630 0.4041 0.4065
Mg: 0.2388 0.3323 0.4006
Mg: 0.1727 0.3544 0.9261
Mg: 0.4939 0.0167 0.0859
Mg: 0.9605 0.0341 0.6063
Mg: 0.2045 0.8639 0.4521
Mg: 0.6224 0.6323 0.5381
Mg: 0.5410 0.5357 0.1244
Mg: 0.4019 0.2572 0.7593
Mg: 0.4105 0.7820 0.6903
Si: 0.4442 0.7545 0.3304
Si: 0.8432 0.3327 0.6857
Si: 0.1749 0.6867 0.0109
Si: 0.8148 0.6351 0.7436
Si: 0.0316 0.6304 0.2439
Si: 0.1767 0.8268 0.8285
Si: 0.6419 0.9075 0.9243
Si: 0.1371 0.4837 0.5751
Si: 0.5973 0.5689 0.8856
Si: 0.9698 0.8636 0.0763
Si: 0.8033 0.8631 0.2550
Si: 0.8476 0.2683 0.2122
Si: 0.9485 0.0682 0.8219
Si: 0.5047 0.1775 0.5741
Si: 0.8351 0.3861 0.0211
Si: 0.8205 0.0160 0.4037
Si: 0.4496 0.1359 0.2833
Si: 0.1499 0.1822 0.1345



16.
Ta6MnC3S6 | GGA-PBE | optimized geometry

calculated volume = 15.49 A^3/atom
energy of formation = -1.0641 eV per atom

a = 5.7288 Å, b = 5.7288 Å, c = 8.9214 Å
α = 83.89°, β = 83.89°, γ = 119.98°
Fractional coordinates of all 16 atoms:
Ta: 0.8771 0.8771 0.3682
Ta: 0.2111 0.5444 0.3676
Ta: 0.4556 0.7889 0.6324
Ta: 0.5444 0.2111 0.3676
Ta: 0.7889 0.4556 0.6324
Ta: 0.1229 0.1229 0.6318
C: 0.8322 0.1678 0.5000
C: 0.5000 0.5000 0.5000
C: 0.1678 0.8322 0.5000
Mn: 0.0000 0.0000 0.0000
S: 0.0589 0.3962 0.8223
S: 0.2788 0.2788 0.1773
S: 0.7212 0.7212 0.8227
S: 0.9411 0.6038 0.1777
S: 0.3962 0.0589 0.8223
S: 0.6038 0.9411 0.1777



17.
SrMg14CO16 | GGA-PBE | optimized geometry

calculated volume = 10.21 A^3/atom
energy of formation = -2.6457 eV per atom

a = 8.6404 Å, b = 8.6404 Å, c = 4.3780 Å
α = 90.00°, β = 90.00°, γ = 90.00°
Fractional coordinates of all 32 atoms:
Mg: 0.7418 0.7418 0.0000
Mg: 0.2582 0.2582 0.0000
Mg: 0.7418 0.2582 0.0000
Mg: 0.2600 0.0000 0.5000
Mg: 0.5000 0.2545 0.5000
Mg: 0.2582 0.7418 0.0000
Mg: 0.5000 0.0000 0.0000
Mg: 0.0000 0.5000 0.0000
Mg: 0.0000 0.2600 0.5000
Mg: 0.5000 0.7455 0.5000
Mg: 0.7400 0.0000 0.5000
Mg: 0.7455 0.5000 0.5000
Mg: 0.2545 0.5000 0.5000
Mg: 0.0000 0.7400 0.5000
C: 0.5000 0.5000 0.0000
O: 0.0000 0.0000 0.5000
O: 0.5000 0.5000 0.5000
O: 0.7488 0.7488 0.5000
O: 0.2719 0.0000 0.0000
O: 0.2533 0.5000 0.0000
O: 0.0000 0.5000 0.5000
O: 0.7281 0.0000 0.0000
O: 0.0000 0.7281 0.0000
O: 0.2512 0.2512 0.5000
O: 0.7467 0.5000 0.0000
O: 0.2512 0.7488 0.5000
O: 0.0000 0.2719 0.0000
O: 0.5000 0.2533 0.0000
O: 0.5000 0.0000 0.5000
O: 0.5000 0.7467 0.0000
O: 0.7488 0.2512 0.5000
Sr: 0.0000 0.0000 0.0000